Compound: Na42Ta16Zn8Si33S3O144
Source: the Materials Project database
Functional: PBE
Structure: relaxed

a = 18.286 Å, b = 9.162 Å, c = 22.288 Å
α = 89.95°, β = 89.99°, γ = 120.16°
Fractional positions:
1 O 0.398 0.814 0.187
2 O 0.693 0.896 0.856
3 O 0.578 0.185 0.410
4 O 0.193 0.486 0.356
5 Ta 0.167 0.668 0.020
6 O 0.248 0.345 0.427
7 Na 0.505 0.998 0.011
8 O 0.095 0.177 0.085
9 O 0.081 0.470 0.974
10 O 0.512 0.185 0.911
11 Ta 0.996 0.993 0.856
12 Ta 0.994 0.000 0.357
13 O 0.316 0.496 0.642
14 O 0.581 0.691 0.474
15 O 0.073 0.517 0.579
16 Si 0.855 0.002 0.746
17 O 0.096 0.989 0.195
18 O 0.934 0.368 0.644
19 Na 0.519 0.728 0.592
20 O 0.259 0.633 0.852
21 Si 0.022 0.373 0.915
22 O 0.898 0.981 0.687
23 O 0.652 0.828 0.971
24 O 0.231 0.171 0.247
25 Na 0.832 0.332 0.832
26 O 0.101 0.176 0.802
27 O 0.924 0.340 0.925
28 O 0.010 0.182 0.909
29 Na 0.679 0.973 0.755
30 O 0.490 0.173 0.580
31 O 0.078 0.484 0.254
32 O 0.056 0.490 0.856
33 O 0.594 0.176 0.083
34 Ta 0.833 0.334 0.689
35 O 0.591 0.211 0.687
36 O 0.098 0.025 0.584
37 O 0.739 0.294 0.746
38 O 0.080 0.182 0.409
39 O 0.599 0.021 0.583
40 Na 0.679 0.389 0.254
41 Ta 0.666 0.668 0.022
42 O 0.990 0.813 0.806
43 O 0.573 0.516 0.578
44 O 0.516 0.213 0.188
45 Na 0.344 0.025 0.915
46 Na 0.666 0.665 0.679
47 O 0.393 0.977 0.686
48 Si 0.482 0.338 0.580
49 O 0.016 0.216 0.187
50 O 0.432 0.364 0.641
51 O 0.898 0.815 0.187
52 O 0.577 0.485 0.253
53 O 0.258 0.836 0.753
54 Na 0.517 0.312 0.091
55 O 0.337 0.516 0.525
56 O 0.924 0.508 0.424
57 O 0.907 0.293 0.246
58 O 0.185 0.856 0.578
59 O 0.348 0.516 0.246
60 Si 0.500 0.293 0.246
61 Si 0.667 0.959 0.914
62 Ta 0.337 0.339 0.186
63 Zn 0.667 0.655 0.322
64 Si 0.330 0.621 0.583
65 O 0.259 0.884 0.352
66 Na 0.807 0.640 0.755
67 Na 0.167 0.681 0.674
68 Zn 0.500 0.999 0.652
69 O 0.687 0.514 0.078
70 Na 0.005 0.007 0.507
71 O 0.596 0.166 0.806
72 Na 0.515 0.382 0.758
73 O 0.337 0.161 0.026
74 O 0.747 0.155 0.925
75 O 0.749 0.346 0.427
76 O 0.079 0.672 0.754
77 O 0.742 0.628 0.577
78 Na 0.313 0.976 0.255
79 Na 0.844 0.967 0.592
80 O 0.658 0.864 0.255
81 O 0.853 0.185 0.747
82 O 0.556 0.623 0.356
83 O 0.249 0.153 0.927
84 Si 0.189 0.039 0.584
85 Ta 0.165 0.665 0.518
86 O 0.406 0.517 0.746
87 O 0.332 0.510 0.923
88 O 0.759 0.884 0.351
89 Ta 0.338 0.335 0.686
90 Si 0.983 0.630 0.082
91 O 0.413 0.804 0.582
92 Na 0.837 0.325 0.338
93 O 0.730 0.170 0.248
94 Ta 0.835 0.329 0.479
95 O 0.596 0.988 0.195
96 Si 0.167 0.964 0.915
97 Ta 0.838 0.340 0.186
98 S 0.145 0.007 0.248
99 O 0.159 0.455 0.755
100 O 0.759 0.682 0.251
101 O 0.192 0.904 0.854
102 O 0.909 0.527 0.746
103 O 0.916 0.803 0.307
104 Si 0.482 0.628 0.082
105 O 0.244 0.162 0.528
106 O 0.432 0.500 0.142
107 Si 0.830 0.619 0.581
108 O 0.762 0.829 0.471
109 Zn 0.666 0.667 0.818
110 O 0.987 0.161 0.304
111 Na 0.008 0.637 0.262
112 Si 0.829 0.038 0.084
113 O 0.917 0.026 0.807
114 Si 0.352 0.998 0.746
115 O 0.577 0.674 0.754
116 Na 0.330 0.333 0.837
117 Ta 0.498 0.998 0.852
118 Na 0.166 0.664 0.174
119 O 0.923 0.520 0.025
120 O 0.416 0.804 0.307
121 O 0.415 0.028 0.806
122 O 0.423 0.523 0.024
123 Na 0.490 0.320 0.414
124 O 0.406 0.840 0.910
125 Na 0.842 0.724 0.092
126 O 0.819 0.137 0.143
127 O 0.263 0.695 0.971
128 O 0.903 0.967 0.410
129 O 0.242 0.629 0.578
130 O 0.484 0.803 0.806
131 O 0.150 0.827 0.970
132 O 0.754 0.618 0.856
133 O 0.243 0.328 0.028
134 Zn 0.165 0.653 0.323
135 Na 0.140 0.315 0.585
136 Na 0.178 0.388 0.254
137 Na 0.666 0.309 0.913
138 Na 0.007 0.385 0.759
139 O 0.906 0.838 0.910
140 Si 0.521 0.670 0.415
141 Na 0.315 0.653 0.757
142 Ta 0.666 0.667 0.519
143 Zn 0.168 0.680 0.824
144 Na 0.639 0.311 0.593
145 Na 0.487 0.662 0.913
146 Si 0.520 0.374 0.916
147 Si 0.021 0.669 0.413
148 O 0.828 0.150 0.424
149 Na 0.340 0.658 0.413
150 O 0.847 0.515 0.245
151 O 0.987 0.806 0.084
152 Si 0.187 0.334 0.085
153 O 0.650 0.468 0.472
154 Na 0.345 0.961 0.592
155 O 0.423 0.340 0.926
156 S 0.146 0.285 0.748
157 O 0.554 0.489 0.857
158 O 0.263 0.833 0.472
159 O 0.487 0.805 0.085
160 Si 0.809 0.958 0.412
161 Si 0.353 0.706 0.246
162 O 0.913 0.804 0.581
163 Si 0.329 0.040 0.082
164 O 0.072 0.626 0.078
165 O 0.761 0.843 0.752
166 Zn 0.993 0.981 0.645
167 O 0.840 0.519 0.524
168 Na 0.991 0.659 0.913
169 O 0.249 0.362 0.144
170 O 0.511 0.811 0.687
171 Si 0.854 0.708 0.247
172 Si 0.981 0.339 0.585
173 O 0.743 0.850 0.079
174 Ta 0.495 0.997 0.356
175 S 0.644 0.007 0.249
176 Si 0.309 0.958 0.413
177 Si 0.000 0.292 0.246
178 Na 0.841 0.025 0.913
179 Si 0.687 0.333 0.083
180 Na 0.815 0.978 0.256
181 Na 0.017 0.719 0.591
182 Na 0.327 0.324 0.335
183 Si 0.646 0.291 0.746
184 O 0.817 0.498 0.641
185 Ta 0.331 0.330 0.479
186 Na 0.013 0.010 0.012
187 O 0.059 0.640 0.353
188 O 0.082 0.691 0.473
189 O 0.579 0.972 0.910
190 Si 0.002 0.709 0.746
191 O 0.994 0.178 0.586
192 O 0.690 0.481 0.355
193 O 0.103 0.028 0.304
194 Si 0.311 0.663 0.913
195 O 0.319 0.137 0.143
196 O 0.232 0.294 0.749
197 Na 0.179 0.970 0.755
198 O 0.249 0.134 0.644
199 O 0.662 0.479 0.754
200 Si 0.498 0.706 0.746
201 O 0.571 0.624 0.078
202 Si 0.667 0.369 0.415
203 O 0.332 0.155 0.423
204 O 0.079 0.973 0.909
205 O 0.100 0.210 0.693
206 O 0.412 0.023 0.081
207 Ta 0.833 0.334 0.981
208 O 0.751 0.134 0.643
209 Zn 0.497 0.003 0.144
210 O 0.933 0.501 0.142
211 O 0.424 0.507 0.424
212 Si 0.811 0.663 0.915
213 Si 0.165 0.369 0.415
214 O 0.687 0.857 0.576
215 Na 0.844 0.657 0.414
216 Na 0.342 0.723 0.091
217 O 0.153 0.470 0.474
218 O 0.187 0.515 0.078
219 O 0.831 0.507 0.924
220 O 0.160 0.865 0.254
221 Na 0.506 0.000 0.509
222 O 0.750 0.360 0.142
223 O 0.259 0.681 0.251
224 O 0.488 0.167 0.307
225 O 0.509 0.837 0.410
226 O 0.745 0.165 0.527
227 Na 0.508 0.635 0.261
228 O 0.021 0.824 0.687
229 O 0.244 0.851 0.077
230 O 0.347 0.179 0.746
231 O 0.920 0.320 0.528
232 O 0.407 0.293 0.246
233 Na 0.018 0.315 0.091
234 O 0.766 0.698 0.974
235 Zn 0.997 0.004 0.145
236 O 0.584 0.468 0.974
237 Na 0.667 0.664 0.174
238 Si 0.691 0.041 0.583
239 O 0.009 0.838 0.411
240 O 0.741 0.328 0.025
241 O 0.602 0.027 0.304
242 O 0.405 0.972 0.410
243 O 0.422 0.327 0.524
244 Ta 0.331 0.335 0.981
245 O 0.835 0.157 0.026
246 O 0.912 0.024 0.081

***

Compound: Na6Ta8Zn4Si9S9O72
Source: the Materials Project database
Functional: PBE
Structure: relaxed

a = 8.858 Å, b = 8.852 Å, c = 22.847 Å
α = 89.87°, β = 90.20°, γ = 120.00°
Fractional positions:
1 O 0.848 0.347 0.927
2 O 0.508 0.866 0.077
3 O 0.698 0.547 0.241
4 O 0.519 0.651 0.582
5 O 0.826 0.019 0.806
6 O 0.840 0.326 0.246
7 O 0.025 0.191 0.191
8 O 0.804 0.830 0.194
9 Si 0.053 0.378 0.919
10 O 0.853 0.492 0.429
11 O 0.165 0.968 0.191
12 Ta 0.321 0.664 0.316
13 O 0.290 0.444 0.480
14 Na 0.332 0.673 0.657
15 O 0.816 0.801 0.301
16 Zn 0.340 0.652 0.012
17 Si 0.334 0.386 0.420
18 O 0.562 0.847 0.479
19 O 0.188 0.991 0.906
20 Ta 0.981 0.991 0.854
21 O 0.455 0.308 0.745
22 Zn 0.687 0.338 0.690
23 O 0.876 0.349 0.638
24 O 0.634 0.488 0.928
25 Ta 0.008 0.006 0.149
26 O 0.174 0.186 0.407
27 O 0.349 0.871 0.583
28 Si 0.295 0.000 0.251
29 O 0.816 0.982 0.403
30 O 0.299 0.855 0.970
31 O 0.027 0.184 0.906
32 Si 0.999 0.709 0.750
33 O 0.131 0.631 0.362
34 O 0.349 0.479 0.080
35 Si 0.621 0.944 0.419
36 O 0.479 0.137 0.639
37 O 0.137 0.502 0.860
38 O 0.837 0.802 0.590
39 O 0.686 0.152 0.030
40 O 0.462 0.307 0.031
41 O 0.495 0.636 0.862
42 O 0.960 0.798 0.084
43 O 0.843 0.530 0.029
44 O 0.496 0.135 0.924
45 O 0.473 0.180 0.247
46 Zn 0.663 0.314 0.193
47 O 0.192 0.480 0.255
48 O 0.178 0.698 0.759
49 O 0.368 0.505 0.361
50 Si 0.616 0.666 0.920
51 O 0.135 0.484 0.580
52 Na 0.328 0.666 0.169
53 Na 0.680 0.338 0.820
54 S 0.379 0.331 0.085
55 O 0.463 0.155 0.533
56 O 0.640 0.143 0.426
57 O 0.308 0.822 0.254
58 Ta 0.330 0.659 0.810
59 O 0.197 0.183 0.803
60 O 0.132 0.654 0.076
61 O 0.005 0.827 0.404
62 O 0.508 0.360 0.428
63 Na 0.991 0.005 0.999
64 O 0.690 0.538 0.533
65 S 0.960 0.335 0.585
66 O 0.982 0.172 0.305
67 O 0.173 0.204 0.697
68 O 0.200 0.040 0.590
69 S 0.333 0.957 0.917
70 O 0.828 0.026 0.085
71 O 0.561 0.721 0.978
72 Na 0.999 0.000 0.492
73 Si 0.045 0.673 0.421
74 O 0.291 0.460 0.755
75 O 0.495 0.860 0.361
76 S 0.379 0.049 0.587
77 O 0.180 0.005 0.305
78 O 0.543 0.710 0.251
79 O 0.520 0.815 0.758
80 Na 0.665 0.321 0.322
81 O 0.149 0.449 0.979
82 O 0.366 0.878 0.865
83 S 0.663 0.039 0.084
84 O 0.198 0.161 0.088
85 O 0.973 0.167 0.590
86 Ta 0.675 0.338 0.977
87 O 0.032 0.837 0.692
88 Si 0.703 0.000 0.748
89 O 0.823 0.528 0.747
90 Ta 0.990 0.987 0.645
91 Si 0.004 0.299 0.251
92 O 0.849 0.306 0.532
93 S 0.282 0.284 0.750
94 O 0.650 0.125 0.136
95 Ta 0.665 0.326 0.473
96 Ta 0.012 0.014 0.356
97 O 0.819 0.823 0.907
98 O 0.652 0.519 0.639
99 O 0.678 0.164 0.747
100 O 0.152 0.719 0.480
101 S 0.713 0.716 0.249
102 O 0.810 0.976 0.692
103 S 0.662 0.616 0.586
104 O 0.995 0.823 0.806
105 O 0.870 0.522 0.135
106 O 0.480 0.344 0.137
107 S 0.956 0.624 0.084
108 Zn 0.332 0.670 0.502

***

no.,formation enthalpy at 0 K (eV/atom)
1,-2.8195
2,-2.5882